# 1
A geometry-optimized LiFe2B2O6 structure. Source: the Materials Project, functional GGA+U.

## Properties
excess energy over the best structure of this formula in the dataset	0.013	eV per atom
formation energy from the elements	-24.936	eV/f.u.
calculated volume	10.9	Å³ per atom

Cell: 5.2301 9.1458 11.2542 Å, 66.93 76.92 89.04°
Closest atoms and distances in Å follow each position.
Space group P1 (No. 1)
Asymmetric unit:
Li 0.0000 0.0000 0.0000  4 O 1.92-2.07
Li 0.0462 0.0275 0.2516  4 O 1.95-2.09
Li 0.2410 0.2528 0.5078  4 O 2.03-2.12
Li 0.5006 0.5040 0.9969  3 O 1.89-2.09
Fe 0.0018 0.6821 0.9756  5 O 2.01-2.13
Fe 0.0344 0.3824 0.2270  5 O 1.92-2.06
Fe 0.2660 0.6013 0.4780  5 O 1.95-2.04
Fe 0.2949 0.9600 0.7291  5 O 1.92-2.09
Fe 0.5080 0.1786 0.9739  5 O 2.03-2.15
Fe 0.5632 0.8717 0.2256  4 O 1.99-2.19
Fe 0.7555 0.0871 0.4788  4 O 1.96-2.13
Fe 0.7946 0.4615 0.7301  4 O 1.87-2.08
B 0.0004 0.3393 0.9802  3 O 1.35-1.42
B 0.0650 0.7164 0.2240  3 O 1.38-1.39
B 0.2631 0.9279 0.4721  3 O 1.35-1.41
B 0.2926 0.6343 0.7283  3 O 1.35-1.40
B 0.5062 0.8449 0.9712  3 O 1.35-1.43
B 0.5389 0.2135 0.2225  3 O 1.38-1.41
B 0.7629 0.4237 0.4765  3 O 1.37-1.41
B 0.7956 0.1361 0.7241  3 O 1.37-1.39
O 0.0267 0.9508 0.4415  1 B 1.35
O 0.0623 0.1273 0.7117  1 B 1.37
O 0.0991 0.4475 0.0244  1 B 1.42
O 0.1189 0.2060 0.9840  1 B 1.35
O 0.1580 0.7460 0.7679  1 B 1.39
O 0.1620 0.5485 0.6767  1 B 1.40
O 0.2659 0.8813 0.9292  1 B 1.43
O 0.2731 0.6859 0.2858  1 B 1.39
O 0.3654 0.0260 0.5238  1 B 1.41
O 0.3973 0.3421 0.2213  1 B 1.38
O 0.4183 0.8109 0.4466  1 B 1.41
O 0.4472 0.0993 0.1859  1 B 1.39
O 0.5010 0.4333 0.4774  1 B 1.37
O 0.5401 0.6032 0.7435  1 B 1.35
O 0.6155 0.9520 0.0100  1 B 1.39
O 0.6187 0.7089 0.9759  1 B 1.35
O 0.6603 0.0435 0.6813  1 B 1.39
O 0.6661 0.2449 0.7695  1 B 1.39
O 0.7676 0.3774 0.9343  1 B 1.41
O 0.7824 0.1990 0.2593  1 B 1.41
O 0.8904 0.5099 0.5280  1 B 1.40
O 0.9167 0.3220 0.4276  1 B 1.41
O 0.9502 0.8590 0.2003  1 B 1.38
O 0.9783 0.6071 0.1812  1 B 1.39

***

# 2
A geometry-optimized LiFe8B8O24 structure. Source: the Materials Project, functional GGA+U.

## Properties
excess energy over the best structure of this formula in the dataset	0.004	eV per atom
formation energy from the elements	-90.432	eV/f.u.
calculated volume	11.9	Å³ per atom

Cell: 5.3235 9.0188 11.3567 Å, 112.88 103.38 90.38°
Closest atoms and distances in Å follow each position.
Space group P1 (No. 1)
Asymmetric unit:
Li 0.0000 0.0000 0.0000  3 O 1.94-2.04
Fe 0.0003 0.3218 0.9699  4 O 1.85-2.05
Fe 0.0556 0.0205 0.7216  4 O 1.86-2.06
Fe 0.2518 0.8953 0.4722  4 O 1.86-2.05
Fe 0.3169 0.9350 0.2203  5 O 1.91-2.07
Fe 0.4920 0.8102 0.9675  5 O 2.01-2.15
Fe 0.5517 0.5209 0.7208  4 O 1.87-2.01
Fe 0.7493 0.3961 0.4712  5 O 1.87-2.08
Fe 0.8027 0.4395 0.2194  4 O 1.85-2.05
B 0.0005 0.6514 0.9688  3 O 1.36-1.41
B 0.0457 0.6849 0.7199  3 O 1.37-1.40
B 0.2569 0.5568 0.4696  3 O 1.35-1.40
B 0.2979 0.2736 0.2140  3 O 1.36-1.40
B 0.5127 0.1514 0.9723  3 O 1.35-1.43
B 0.5503 0.1844 0.7218  3 O 1.34-1.41
B 0.7599 0.0614 0.4725  3 O 1.34-1.41
B 0.8029 0.7765 0.2232  3 O 1.35-1.41
O 0.0687 0.8320 0.2773  1 B 1.41
O 0.1150 0.5204 0.9776  1 B 1.36
O 0.1348 0.3727 0.1697  1 B 1.40
O 0.1428 0.8055 0.0217  1 B 1.41
O 0.2030 0.1222 0.1925  1 B 1.36
O 0.2365 0.1440 0.9287  1 B 1.43
O 0.3075 0.6798 0.7649  1 B 1.38
O 0.3529 0.7007 0.4775  1 B 1.35
O 0.3906 0.0380 0.6758  1 B 1.41
O 0.4138 0.4575 0.5160  1 B 1.40
O 0.4535 0.3178 0.7145  1 B 1.34
O 0.4940 0.0075 0.4193  1 B 1.40
O 0.5590 0.3300 0.2739  1 B 1.39
O 0.6308 0.0193 0.9707  1 B 1.35
O 0.6424 0.8723 0.1753  1 B 1.39
O 0.6613 0.3020 0.0176  1 B 1.41
O 0.7059 0.6358 0.2190  1 B 1.35
O 0.7412 0.6407 0.9095  1 B 1.37
O 0.8176 0.1849 0.7761  1 B 1.41
O 0.8564 0.2004 0.4744  1 B 1.34
O 0.8794 0.5412 0.6667  1 B 1.40
O 0.9190 0.9639 0.5227  1 B 1.41
O 0.9515 0.8295 0.7323  1 B 1.37
O 0.9916 0.5025 0.4139  1 B 1.40

***

# 3
A geometry-optimized LiFe2B2O6 structure. Source: the Materials Project, functional GGA+U.

## Properties
excess energy over the best structure of this formula in the dataset	0.014	eV per atom
formation energy from the elements	-24.917	eV/f.u.
calculated volume	11.1	Å³ per atom

Cell: 5.2530 9.1618 11.3681 Å, 67.42 76.87 89.45°
Closest atoms and distances in Å follow each position.
Space group P1 (No. 1)
Asymmetric unit:
Li 0.0000 0.0000 0.0000  3 O 1.94-2.10
Li 0.0250 0.0294 0.2587  4 O 1.98-2.16
Li 0.2619 0.2467 0.5011  3 O 1.90-2.11
Li 0.7936 0.7672 0.7584  3 O 1.92-2.10
Fe 0.0410 0.3463 0.9733  5 O 2.02-2.23
Fe 0.0509 0.7038 0.2298  5 O 1.95-2.10
Fe 0.2688 0.9218 0.4773  5 O 1.97-2.20
Fe 0.3099 0.6206 0.7246  5 O 1.91-2.11
Fe 0.5184 0.8328 0.9803  4 O 1.93-2.15
Fe 0.5539 0.2191 0.2219  4 O 1.85-2.03
Fe 0.7549 0.4373 0.4753  4 O 1.96-2.18
Fe 0.7942 0.1326 0.7255  5 O 1.93-2.06
B 0.0271 0.6812 0.9660  3 O 1.36-1.42
B 0.0515 0.3767 0.2293  3 O 1.36-1.41
B 0.2590 0.5864 0.4754  3 O 1.36-1.41
B 0.3029 0.9599 0.7209  3 O 1.38-1.40
B 0.5206 0.1660 0.9789  3 O 1.37-1.43
B 0.5539 0.8888 0.2212  3 O 1.38-1.40
B 0.7714 0.1012 0.4696  3 O 1.36-1.41
B 0.8143 0.4652 0.7268  3 O 1.38-1.39
O 0.0425 0.6242 0.4188  1 B 1.41
O 0.0461 0.4504 0.7679  1 B 1.39
O 0.1215 0.7734 0.0257  1 B 1.42
O 0.1547 0.0856 0.7171  1 B 1.38
O 0.1891 0.5789 0.9259  1 B 1.40
O 0.2082 0.8406 0.6893  1 B 1.40
O 0.2573 0.1599 0.9863  1 B 1.37
O 0.3030 0.3573 0.2413  1 B 1.36
O 0.3380 0.6871 0.5289  1 B 1.40
O 0.3798 0.4527 0.4807  1 B 1.36
O 0.4160 0.9990 0.2631  1 B 1.40
O 0.4178 0.7918 0.1844  1 B 1.38
O 0.5308 0.1257 0.4329  1 B 1.41
O 0.5461 0.9499 0.7530  1 B 1.40
O 0.6416 0.2561 0.0285  1 B 1.39
O 0.6697 0.5917 0.7246  1 B 1.38
O 0.6841 0.0706 0.9249  1 B 1.43
O 0.7336 0.3535 0.6847  1 B 1.39
O 0.7854 0.7010 0.9414  1 B 1.36
O 0.8230 0.8842 0.2104  1 B 1.39
O 0.8560 0.2002 0.5252  1 B 1.41
O 0.9131 0.4934 0.2584  1 B 1.39
O 0.9225 0.9885 0.4476  1 B 1.36
O 0.9282 0.2727 0.1908  1 B 1.41

***

# 4
A geometry-optimized LiFe2B2O6 structure. Source: the Materials Project, functional GGA+U.

## Properties
excess energy over the best structure of this formula in the dataset	0.014	eV per atom
formation energy from the elements	-24.915	eV/f.u.
calculated volume	11.0	Å³ per atom

Cell: 5.2763 9.0986 11.3482 Å, 113.59 102.18 90.45°
Closest atoms and distances in Å follow each position.
Space group P1 (No. 1)
Asymmetric unit:
Li 0.0000 0.0000 0.0000  4 O 2.04-2.11
Li 0.0441 0.7105 0.7370  4 O 1.94-2.15
Li 0.2721 0.9607 0.2581  3 O 1.92-2.04
Li 0.7585 0.4547 0.2405  3 O 1.89-2.01
Fe 0.0131 0.3445 0.0197  5 O 1.92-2.11
Fe 0.0544 0.3862 0.7685  3 O 1.93-2.15
Fe 0.2584 0.9290 0.5241  4 O 1.87-2.04
Fe 0.2810 0.3027 0.2781  4 O 1.98-2.13
Fe 0.5082 0.8328 0.0178  4 O 1.91-2.02
Fe 0.5574 0.8966 0.7651  4 O 1.99-2.17
Fe 0.7553 0.4220 0.5251  5 O 1.91-2.13
Fe 0.7785 0.8003 0.2764  4 O 1.96-2.17
B 0.0023 0.6794 0.0237  3 O 1.38-1.39
B 0.0595 0.0538 0.7802  3 O 1.39
B 0.2651 0.5950 0.5260  3 O 1.37-1.39
B 0.2897 0.6341 0.2701  3 O 1.36-1.42
B 0.5140 0.1745 0.0288  3 O 1.37-1.40
B 0.5437 0.5565 0.7702  3 O 1.33-1.44
B 0.7542 0.0915 0.5179  3 O 1.36-1.39
B 0.7853 0.1323 0.2675  3 O 1.37-1.41
O 0.0177 0.5816 0.5434  1 B 1.37
O 0.0378 0.1208 0.2552  1 B 1.37
O 0.0822 0.5271 0.9815  1 B 1.38
O 0.1241 0.4890 0.2248  1 B 1.42
O 0.1537 0.8103 0.0310  1 B 1.39
O 0.1813 0.7815 0.3113  1 B 1.40
O 0.2667 0.1941 0.0567  1 B 1.40
O 0.2690 0.0301 0.7210  1 B 1.39
O 0.3901 0.7456 0.5576  1 B 1.39
O 0.3944 0.4590 0.4788  1 B 1.39
O 0.4102 0.4279 0.7643  1 B 1.33
O 0.4512 0.7129 0.8197  1 B 1.44
O 0.4933 0.0693 0.5066  1 B 1.36
O 0.5471 0.6272 0.2715  1 B 1.36
O 0.5983 0.0205 0.9847  1 B 1.40
O 0.6154 0.9909 0.2248  1 B 1.41
O 0.6796 0.3030 0.0494  1 B 1.37
O 0.6893 0.2838 0.3178  1 B 1.41
O 0.7685 0.7070 0.0620  1 B 1.38
O 0.7797 0.5489 0.7280  1 B 1.42
O 0.8809 0.2447 0.5622  1 B 1.39
O 0.8959 0.9594 0.4780  1 B 1.39
O 0.9444 0.9282 0.7975  1 B 1.39
O 0.9699 0.2052 0.8281  1 B 1.39